(1)
## AlSi3AgO8 (PBE-GGA)

Data for a geometry-optimized AlSi3AgO8 structure.

The structure in CIF format:
```
data_AlSi3AgO8
_chemical_formula_sum 'Al2 Si6 Ag2 O16'
_symmetry_space_group_name_H-M 'P -1'
_symmetry_Int_Tables_number 2
_symmetry_space_group_name_Hall '-P 1'
_cell_length_a 7.2796
_cell_length_b 7.5616
_cell_length_c 7.8634
_cell_angle_alpha 115.17
_cell_angle_beta 106.79
_cell_angle_gamma 100.60
loop_
_atom_site_label
_atom_site_type_symbol
_atom_site_fract_x
_atom_site_fract_y
_atom_site_fract_z
Al1 Al 0.2110 0.3288 0.1786
Si1 Si 0.2378 0.6812 0.8254
Si2 Si 0.3212 0.0730 0.8039
Si3 Si 0.3642 0.3022 0.5760
Ag1 Ag 0.1287 0.7635 0.2590
O1 O 0.0293 0.6397 0.8608
O2 O 0.1888 0.1760 0.9248
O3 O 0.2462 0.8205 0.7127
O4 O 0.2483 0.4558 0.6821
O5 O 0.2818 0.2199 0.3325
O6 O 0.2890 0.0928 0.5965
O7 O 0.3879 0.5850 0.2983
O8 O 0.4333 0.8116 0.0495
```

Calculated values
As for the distance to the lowest polymorph of the same formula: 0 meV per atom. The calculation puts the energy with MP2020 corrections at -7.754 eV per atom. The value obtained for the total magnetization is 0.00 μB per cell. The value obtained for the theoretical density is 3.3 g/cm3. As for the formation energy: -2.95 eV/atom.

---

(2)
## Na4MgCu4O8 (PBE-GGA)

Data for a geometry-optimized Na4MgCu4O8 structure.

The structure in CIF format:
```
data_Na4MgCu4O8
_chemical_formula_sum 'Na4 Mg1 Cu4 O8'
_symmetry_space_group_name_H-M 'P -1'
_symmetry_Int_Tables_number 2
_symmetry_space_group_name_Hall '-P 1'
_cell_length_a 5.7017
_cell_length_b 5.7200
_cell_length_c 6.9135
_cell_angle_alpha 98.01
_cell_angle_beta 96.88
_cell_angle_gamma 102.47
loop_
_atom_site_label
_atom_site_type_symbol
_atom_site_fract_x
_atom_site_fract_y
_atom_site_fract_z
Na1 Na 0.0000 0.0000 0.0000
Na2 Na 0.0000 0.5000 0.0000
Na3 Na 0.0761 0.2812 0.4324
Mg1 Mg 0.5000 0.0000 0.5000
Cu1 Cu 0.4621 0.8357 0.7991
Cu2 Cu 0.4664 0.3492 0.7817
O1 O 0.2311 0.5380 0.7371
O2 O 0.2517 0.0306 0.6876
O3 O 0.3037 0.3461 0.1614
O4 O 0.3064 0.8648 0.2141
```

Calculated values
As for the distance to the lowest polymorph of the same formula: 85 meV per atom. The calculation puts the energy with MP2020 corrections at -5.059 eV per atom. The value obtained for the total magnetization is 1.77 μB per cell. The value obtained for the theoretical density is 3.8 g/cm3. As for the formation energy: -1.36 eV/atom.

---

(3)
## GdAsO4 (PBE-GGA)

Data for a geometry-optimized GdAsO4 structure.

The structure in CIF format:
```
data_GdAsO4
_chemical_formula_sum 'Gd2 As2 O8'
_symmetry_space_group_name_H-M 'P 4/n b m'
_symmetry_Int_Tables_number 125
_cell_length_a 5.5866
_cell_length_b 5.5866
_cell_length_c 4.7655
_cell_angle_alpha 90.00
_cell_angle_beta 90.00
_cell_angle_gamma 90.00
loop_
_symmetry_equiv_pos_as_xyz
'x,y,z'
'-x,-y,-z'
'-y+1/2,x,z'
'y+1/2,-x,-z'
'-x+1/2,-y+1/2,z'
'x+1/2,y+1/2,-z'
'y,-x+1/2,z'
'-y,x+1/2,-z'
'x,-y+1/2,-z'
'-x,y+1/2,z'
'-y+1/2,-x+1/2,-z'
'y+1/2,x+1/2,z'
'-x+1/2,y,-z'
'x+1/2,-y,z'
'y,x,-z'
'-y,-x,z'
loop_
_atom_site_label
_atom_site_type_symbol
_atom_site_fract_x
_atom_site_fract_y
_atom_site_fract_z
Gd1 Gd 0.2500 0.2500 0.0000
As1 As 0.2500 0.7500 0.5000
O1 O 0.0816 0.5816 0.2629
```

Calculated values
As for the distance to the lowest polymorph of the same formula: 59 meV per atom. The calculation puts the energy with MP2020 corrections at -9.170 eV per atom. The value obtained for the total magnetization is 14.00 μB per cell. The value obtained for the theoretical density is 6.6 g/cm3. As for the formation energy: -2.75 eV/atom.

---

(4)
## Mg6CuSi (PBE-GGA)

Data for a geometry-optimized Mg6CuSi structure.

The structure in CIF format:
```
data_Mg6CuSi
_chemical_formula_sum 'Mg12 Cu2 Si2'
_symmetry_space_group_name_H-M 'A m m 2'
_symmetry_Int_Tables_number 38
_symmetry_space_group_name_Hall 'A 2 -2'
_cell_length_a 4.8512
_cell_length_b 6.1903
_cell_length_c 10.3464
_cell_angle_alpha 90.00
_cell_angle_beta 90.00
_cell_angle_gamma 90.00
loop_
_atom_site_label
_atom_site_type_symbol
_atom_site_fract_x
_atom_site_fract_y
_atom_site_fract_z
Mg1 Mg 0.0000 0.0000 0.0000
Mg2 Mg 0.0000 0.0000 0.4976
Mg3 Mg 0.0000 0.2459 0.2404
Mg4 Mg 0.5000 0.2495 0.9125
Cu1 Cu 0.5000 0.0000 0.1616
Si1 Si 0.5000 0.0000 0.6607
```

Calculated values
As for the distance to the lowest polymorph of the same formula: 0 meV per atom. The calculation puts the energy with MP2020 corrections at -2.314 eV per atom. The value obtained for the total magnetization is 0.01 μB per cell. The value obtained for the theoretical density is 2.5 g/cm3. As for the formation energy: 0.08 eV/atom.

---

(5)
## H12RuSN4Cl2O2 (PBE-GGA)

Data for a geometry-optimized H12RuSN4Cl2O2 structure.

The structure in CIF format:
```
data_H12RuSN4Cl2O2
_chemical_formula_sum 'H48 Ru4 S4 N16 Cl8 O8'
_symmetry_space_group_name_H-M 'P n m a'
_symmetry_Int_Tables_number 62
_symmetry_space_group_name_Hall '-P 2ac 2n'
_cell_length_a 14.1795
_cell_length_b 7.4226
_cell_length_c 9.4037
_cell_angle_alpha 90.00
_cell_angle_beta 90.00
_cell_angle_gamma 90.00
loop_
_atom_site_label
_atom_site_type_symbol
_atom_site_fract_x
_atom_site_fract_y
_atom_site_fract_z
H1 H 0.0232 0.0578 0.1635
H2 H 0.0492 0.5007 0.7063
H3 H 0.0582 0.0995 0.8642
H4 H 0.1352 0.0346 0.4367
H5 H 0.1994 0.0384 0.2907
H6 H 0.2291 0.5991 0.4238
Ru1 Ru 0.0853 0.7500 0.2801
S1 S 0.1665 0.7500 0.0923
N1 N 0.0114 0.0494 0.7905
N2 N 0.1732 0.5452 0.3681
Cl1 Cl 0.0039 0.7500 0.5076
Cl2 Cl 0.1509 0.2500 0.0659
O1 O 0.1302 0.7500 0.9458
O2 O 0.2301 0.2500 0.6016
```

Calculated values
The calculation puts the energy with MP2020 corrections at -5.242 eV per atom. The value obtained for the total magnetization is 0.00 μB per cell. The value obtained for the theoretical density is 2.0 g/cm3. As for the formation energy: -0.65 eV/atom.

---

(6)
## Ba (PBE-GGA)

Data for a geometry-optimized Ba structure.

The structure in CIF format:
```
data_Ba
_chemical_formula_sum 'Ba8'
_symmetry_space_group_name_H-M 'C m c m'
_symmetry_Int_Tables_number 63
_symmetry_space_group_name_Hall '-C 2c 2'
_cell_length_a 7.1235
_cell_length_b 9.2824
_cell_length_c 6.5785
_cell_angle_alpha 90.00
_cell_angle_beta 90.00
_cell_angle_gamma 90.00
loop_
_atom_site_label
_atom_site_type_symbol
_atom_site_fract_x
_atom_site_fract_y
_atom_site_fract_z
Ba1 Ba 0.0000 0.0134 0.2500
Ba2 Ba 0.0000 0.3558 0.7500
```

Calculated values
As for the distance to the lowest polymorph of the same formula: 514 meV per atom. The value obtained for the total magnetization is 0.03 μB per cell. The value obtained for the theoretical density is 4.2 g/cm3. As for the formation energy: 0.51 eV/atom.

---

(7)
## Ho3Fe4Ge4 (PBE-GGA)

Data for a geometry-optimized Ho3Fe4Ge4 structure.

The structure in CIF format:
```
data_Ho3Fe4Ge4
_chemical_formula_sum 'Ho6 Fe8 Ge8'
_symmetry_space_group_name_H-M 'I m m m'
_symmetry_Int_Tables_number 71
_symmetry_space_group_name_Hall '-I 2 2'
_cell_length_a 4.1925
_cell_length_b 6.7170
_cell_length_c 13.5298
_cell_angle_alpha 90.00
_cell_angle_beta 90.00
_cell_angle_gamma 90.00
loop_
_atom_site_label
_atom_site_type_symbol
_atom_site_fract_x
_atom_site_fract_y
_atom_site_fract_z
Ho1 Ho 0.0000 0.0000 0.0000
Ho2 Ho 0.0000 0.5000 0.1286
Fe1 Fe 0.0000 0.3192 0.3250
Ge1 Ge 0.0000 0.0000 0.2206
Ge2 Ge 0.0000 0.1958 0.5000
```

Calculated values
The value obtained for the total magnetization is 16.11 μB per cell. The value obtained for the theoretical density is 8.8 g/cm3. As for the formation energy: -0.49 eV/atom.

---

(8)
## InSe2 (PBE-GGA)

Data for a geometry-optimized InSe2 structure.

The structure in CIF format:
```
data_InSe2
_chemical_formula_sum 'In2 Se4'
_symmetry_space_group_name_H-M 'P 4/n m m'
_symmetry_Int_Tables_number 129
_cell_length_a 3.8949
_cell_length_b 3.8949
_cell_length_c 9.6262
_cell_angle_alpha 90.00
_cell_angle_beta 90.00
_cell_angle_gamma 90.00
loop_
_symmetry_equiv_pos_as_xyz
'x,y,z'
'-x,-y,-z'
'-y+1/2,x,z'
'y+1/2,-x,-z'
'-x+1/2,-y+1/2,z'
'x+1/2,y+1/2,-z'
'y,-x+1/2,z'
'-y,x+1/2,-z'
'x+1/2,-y,-z'
'-x+1/2,y,z'
'-y,-x,-z'
'y,x,z'
'-x,y+1/2,-z'
'x,-y+1/2,z'
'y+1/2,x+1/2,-z'
'-y+1/2,-x+1/2,z'
loop_
_atom_site_label
_atom_site_type_symbol
_atom_site_fract_x
_atom_site_fract_y
_atom_site_fract_z
In1 In 0.2500 0.2500 0.2065
Se1 Se 0.2500 0.2500 0.8662
Se2 Se 0.2500 0.7500 0.5000
```

Calculated values
The calculation puts the energy with MP2020 corrections at -3.743 eV per atom. The value obtained for the total magnetization is 0.00 μB per cell. The value obtained for the theoretical density is 6.2 g/cm3. As for the formation energy: -0.49 eV/atom.

---

(9)
## NdB3O6 (PBE-GGA)

Data for a geometry-optimized NdB3O6 structure.

The structure in CIF format:
```
data_NdB3O6
_chemical_formula_sum 'Nd4 B12 O24'
_symmetry_space_group_name_H-M 'C 1 2/c 1'
_symmetry_Int_Tables_number 15
_symmetry_space_group_name_Hall '-C 2yc'
_cell_length_a 9.9112
_cell_length_b 8.1749
_cell_length_c 6.4384
_cell_angle_alpha 90.00
_cell_angle_beta 126.89
_cell_angle_gamma 90.00
loop_
_atom_site_label
_atom_site_type_symbol
_atom_site_fract_x
_atom_site_fract_y
_atom_site_fract_z
Nd1 Nd 0.0000 0.2017 0.2500
B1 B 0.0000 0.2224 0.7500
B2 B 0.2266 0.4330 0.0851
O1 O 0.1019 0.3142 0.9926
O2 O 0.1047 0.1137 0.7113
O3 O 0.2030 0.4119 0.5042
```

Calculated values
As for the distance to the lowest polymorph of the same formula: 12 meV per atom. The calculation puts the energy with MP2020 corrections at -8.613 eV per atom. The value obtained for the theoretical density is 4.3 g/cm3. As for the formation energy: -3.16 eV/atom.

---

(10)
## Tb4YNi10B10C5 (PBE-GGA)

Data for a geometry-optimized Tb4YNi10B10C5 structure.

The structure in CIF format:
```
data_Tb4YNi10B10C5
_chemical_formula_sum 'Tb8 Y2 Ni20 B20 C10'
_symmetry_space_group_name_H-M 'I 4/m m m'
_symmetry_Int_Tables_number 139
_symmetry_space_group_name_Hall '-I 4 2'
_cell_length_a 3.5537
_cell_length_b 3.5537
_cell_length_c 52.3907
_cell_angle_alpha 90.00
_cell_angle_beta 90.00
_cell_angle_gamma 90.00
loop_
_atom_site_label
_atom_site_type_symbol
_atom_site_fract_x
_atom_site_fract_y
_atom_site_fract_z
Tb1 Tb 0.0000 0.0000 0.1000
Tb2 Tb 0.0000 0.0000 0.3000
Y1 Y 0.0000 0.0000 0.5000
Ni1 Ni 0.0000 0.5000 0.0500
Ni2 Ni 0.0000 0.5000 0.1500
Ni3 Ni 0.0000 0.5000 0.2500
B1 B 0.0000 0.0000 0.0285
B2 B 0.0000 0.0000 0.1715
B3 B 0.0000 0.0000 0.2285
B4 B 0.0000 0.0000 0.3715
B5 B 0.0000 0.0000 0.4285
C1 C 0.0000 0.0000 0.0000
C2 C 0.0000 0.0000 0.2000
C3 C 0.0000 0.0000 0.4000
```

Calculated values
The value obtained for the total magnetization is 0.01 μB per cell. The value obtained for the theoretical density is 7.4 g/cm3. As for the formation energy: -0.50 eV/atom.

---

(11)
## YAlN2 (PBE-GGA)

Data for a geometry-optimized YAlN2 structure.

The structure in CIF format:
```
data_YAlN2
_chemical_formula_sum 'Y16 Al16 N32'
_symmetry_space_group_name_H-M 'P b c a'
_symmetry_Int_Tables_number 61
_symmetry_space_group_name_Hall '-P 2ac 2ab'
_cell_length_a 5.1180
_cell_length_b 10.1306
_cell_length_c 16.1210
_cell_angle_alpha 90.00
_cell_angle_beta 90.00
_cell_angle_gamma 90.00
loop_
_atom_site_label
_atom_site_type_symbol
_atom_site_fract_x
_atom_site_fract_y
_atom_site_fract_z
Y1 Y 0.2025 0.2426 0.1880
Y2 Y 0.2372 0.0040 0.0632
Al1 Al 0.1941 0.2249 0.4373
Al2 Al 0.2025 0.5216 0.8121
N1 N 0.1657 0.5142 0.2029
N2 N 0.1788 0.7376 0.0484
N3 N 0.2137 0.5409 0.4217
N4 N 0.2390 0.7089 0.8271
```

Calculated values
The calculation puts the energy with MP2020 corrections at -8.190 eV per atom. The value obtained for the total magnetization is 0.00 μB per cell. The value obtained for the theoretical density is 4.6 g/cm3. As for the formation energy: -1.47 eV/atom.

---

(12)
## DyGa2Pd (PBE-GGA)

Data for a geometry-optimized DyGa2Pd structure.

The structure in CIF format:
```
data_DyGa2Pd
_chemical_formula_sum 'Dy4 Ga8 Pd4'
_symmetry_space_group_name_H-M 'C m c m'
_symmetry_Int_Tables_number 63
_symmetry_space_group_name_Hall '-C 2c 2'
_cell_length_a 4.4512
_cell_length_b 10.2010
_cell_length_c 6.5926
_cell_angle_alpha 90.00
_cell_angle_beta 90.00
_cell_angle_gamma 90.00
loop_
_atom_site_label
_atom_site_type_symbol
_atom_site_fract_x
_atom_site_fract_y
_atom_site_fract_z
Dy1 Dy 0.0000 0.0880 0.2500
Ga1 Ga 0.0000 0.3723 0.0532
Pd1 Pd 0.0000 0.1998 0.7500
```

Calculated values
The value obtained for the theoretical density is 9.1 g/cm3. As for the formation energy: -0.80 eV/atom.

---

(13)
## Ba2NdSbO6 (PBE-GGA)

Data for a geometry-optimized Ba2NdSbO6 structure.

The structure in CIF format:
```
data_Ba2NdSbO6
_chemical_formula_sum 'Ba6 Nd3 Sb3 O18'
_symmetry_space_group_name_H-M 'R -3'
_symmetry_Int_Tables_number 148
_symmetry_space_group_name_Hall '-R 3'
_cell_length_a 6.1422
_cell_length_b 6.1422
_cell_length_c 14.9445
_cell_angle_alpha 90.00
_cell_angle_beta 90.00
_cell_angle_gamma 120.00
loop_
_atom_site_label
_atom_site_type_symbol
_atom_site_fract_x
_atom_site_fract_y
_atom_site_fract_z
Ba1 Ba 0.0000 0.0000 0.2491
Nd1 Nd 0.0000 0.0000 0.5000
Sb1 Sb 0.0000 0.0000 0.0000
O1 O 0.0255 0.4736 0.7446
```

Calculated values
The calculation puts the energy with MP2020 corrections at -7.256 eV per atom. The value obtained for the total magnetization is 0.00 μB per cell. The value obtained for the theoretical density is 6.5 g/cm3. As for the formation energy: -3.01 eV/atom.

---

(14)
## KHfMg6O7 (PBE-GGA)

Data for a geometry-optimized KHfMg6O7 structure.

The structure in CIF format:
```
data_KHfMg6O7
_chemical_formula_sum 'K1 Hf1 Mg6 O7'
_symmetry_space_group_name_H-M 'P 4 m m'
_symmetry_Int_Tables_number 99
_symmetry_space_group_name_Hall 'P 4 -2'
_cell_length_a 4.5293
_cell_length_b 4.5293
_cell_length_c 8.6757
_cell_angle_alpha 90.00
_cell_angle_beta 90.00
_cell_angle_gamma 90.00
loop_
_atom_site_label
_atom_site_type_symbol
_atom_site_fract_x
_atom_site_fract_y
_atom_site_fract_z
K1 K 0.0000 0.0000 0.0000
Hf1 Hf 0.0000 0.0000 0.4653
Mg1 Mg 0.0000 0.5000 0.2099
Mg2 Mg 0.0000 0.5000 0.7353
Mg3 Mg 0.5000 0.5000 0.4678
Mg4 Mg 0.5000 0.5000 0.9668
O1 O 0.0000 0.0000 0.7018
O2 O 0.0000 0.5000 0.4765
O3 O 0.0000 0.5000 0.9654
O4 O 0.5000 0.5000 0.2212
O5 O 0.5000 0.5000 0.7150
```

Calculated values
As for the distance to the lowest polymorph of the same formula: 221 meV per atom. The calculation puts the energy with MP2020 corrections at -6.075 eV per atom. The value obtained for the total magnetization is 0.78 μB per cell. The value obtained for the theoretical density is 4.4 g/cm3. As for the formation energy: -2.39 eV/atom.